# Sr6Ti3FeO14

Sr6Ti3FeO14 after structural relaxation (GGA+U, Materials Project).

Its polymorph energy (0 for the lowest one) is 0.000 kcal/mol of atoms. As for the mass density: 4968 kg/m3. As for the symmetry: No. 100. The formation energy comes out at -77.22 eV per formula unit. The calculated total energy comes out at -353.82 eV/cell.

Cell lengths 5.5811, 5.5811, 20.3715 Å; angles 90.00, 90.00, 90.00 degrees
With the nearest neighbours (Å) after each atom.
Sites, in units of the cell vectors:
1 Sr 0.0000 0.0000 0.0000  9 O 2.52-2.80
2 Sr 0.0000 0.0000 0.1769  12 O 2.72-2.81
3 Sr 0.0000 0.0000 0.3630  9 O 2.50-2.80
4 Sr 0.0000 0.5000 0.4957  9 O 2.51-2.80
5 Sr 0.0000 0.5000 0.6814  12 O 2.79-2.80
6 Sr 0.0000 0.5000 0.8669  5 O 2.47-2.67
7 Sr 0.5000 0.0000 0.4957  9 O 2.51-2.80
8 Sr 0.5000 0.0000 0.6814  12 O 2.79-2.80
9 Sr 0.5000 0.0000 0.8669  5 O 2.47-2.67
10 Sr 0.5000 0.5000 0.0000  9 O 2.52-2.80
11 Sr 0.5000 0.5000 0.1769  12 O 2.72-2.81
12 Sr 0.5000 0.5000 0.3630  9 O 2.50-2.80
13 Ti 0.0000 0.0000 0.5828  6 O 1.97-2.00
14 Ti 0.0000 0.0000 0.7801  6 O 1.96-2.01
15 Ti 0.0000 0.5000 0.2766  6 O 1.96-2.00
16 Ti 0.5000 0.0000 0.2766  6 O 1.96-2.00
17 Ti 0.5000 0.5000 0.5828  6 O 1.97-2.00
18 Ti 0.5000 0.5000 0.7801  6 O 1.96-2.01
19 Fe 0.0000 0.5000 0.0831  6 O 1.87-2.07
20 Fe 0.5000 0.0000 0.0831  6 O 1.87-2.07
21 O 0.0000 0.0000 0.4859  1 Ti 1.97
22 O 0.0000 0.0000 0.6812  2 Ti 2.00-2.01
23 O 0.0000 0.0000 0.8762  1 Ti 1.96
24 O 0.0000 0.5000 0.1785  1 Fe 1.94, 1 Ti 2.00
25 O 0.0000 0.5000 0.3727  1 Ti 1.96
26 O 0.0000 0.5000 0.9883  1 Fe 1.93
27 O 0.2372 0.2628 0.0848  2 Fe 1.87-2.07
28 O 0.2503 0.2497 0.2754  2 Ti 1.97-1.98
29 O 0.2500 0.2500 0.5840  2 Ti 1.97
30 O 0.2500 0.2500 0.7785  2 Ti 1.97
31 O 0.2497 0.7497 0.2754  2 Ti 1.97-1.98
32 O 0.2500 0.7500 0.5840  2 Ti 1.97
33 O 0.2500 0.7500 0.7785  2 Ti 1.97
34 O 0.2628 0.7628 0.0848  2 Fe 1.87-2.07
35 O 0.5000 0.0000 0.1785  1 Fe 1.94, 1 Ti 2.00
36 O 0.5000 0.0000 0.3727  1 Ti 1.96
37 O 0.5000 0.0000 0.9883  1 Fe 1.93
38 O 0.5000 0.5000 0.4859  1 Ti 1.97
39 O 0.5000 0.5000 0.6812  2 Ti 2.00-2.01
40 O 0.5000 0.5000 0.8762  1 Ti 1.96
41 O 0.7372 0.2372 0.0848  2 Fe 1.87-2.07
42 O 0.7503 0.2503 0.2754  2 Ti 1.97-1.98
43 O 0.7500 0.2500 0.5840  2 Ti 1.97
44 O 0.7500 0.2500 0.7785  2 Ti 1.97
45 O 0.7497 0.7503 0.2754  2 Ti 1.97-1.98
46 O 0.7500 0.7500 0.5840  2 Ti 1.97
47 O 0.7500 0.7500 0.7785  2 Ti 1.97
48 O 0.7628 0.7372 0.0848  2 Fe 1.87-2.07